Entry 1:
# Ti2IrRh

Crystalline Ti2IrRh at its relaxed geometry (r²SCAN, Materials Project).

POSCAR file:
```
Ti2IrRh
1.0
0.000 3.099 3.099
3.099 0.000 3.099
3.099 3.099 0.000
Ti Ir Rh
2 1 1
Cartesian
0.000 0.000 0.000
3.099 3.099 3.099
1.549 1.549 1.549
4.648 4.648 4.648
```

Computed properties:
Energy of formation in kJ/mol of atoms: -81.9
Raw total energy in eV/f.u.: -105.8
Crystal system: cubic

=====

Entry 2:
# IrRu3

Crystalline IrRu3 at its relaxed geometry (r²SCAN, Materials Project).

POSCAR file:
```
IrRu3
1.0
-1.819 -3.517 -3.708
0.703 -1.596 5.137
-4.054 1.138 0.909
Ru Ir
6 2
Cartesian
-1.642 -3.397 2.034
-0.729 -1.630 3.897
-4.088 -3.147 1.022
-1.082 -0.828 1.316
-4.441 -2.345 -1.560
-3.527 -0.577 0.304
-1.992 -2.592 -0.533
-3.178 -1.382 2.870
```

Computed properties:
Energy of formation in kJ/mol of atoms: -6.3
Raw total energy in eV/f.u.: -128.9
Crystal system: hexagonal

=====

Entry 3:
# IrRu

Crystalline IrRu at its relaxed geometry (r²SCAN, Materials Project).

POSCAR file:
```
IrRu
1.0
2.725 0.000 -0.001
-1.363 2.360 0.001
-0.001 0.001 4.331
Ru Ir
1 1
Cartesian
0.000 1.573 1.083
1.362 0.787 3.248
```

Computed properties:
Energy of formation in kJ/mol of atoms: -3.6
Offset from the most stable computed form in meV/atom: 0
Raw total energy in eV/f.u.: -77.9
Crystal system: hexagonal

=====

Entry 4:
# IrRu

Crystalline IrRu at its relaxed geometry (r²SCAN, Materials Project).

POSCAR file:
```
IrRu
1.0
4.494 -1.348 0.001
4.494 1.348 0.001
4.089 0.000 2.301
Ir Ru
1 1
Cartesian
0.000 0.000 0.000
6.538 0.000 1.151
```

Computed properties:
Energy of formation in kJ/mol of atoms: -1.8
Offset from the most stable computed form in meV/atom: 19
Raw total energy in eV/f.u.: -77.8
Crystal system: trigonal

=====

Entry 5:
# IrS2

Crystalline IrS2 at its relaxed geometry (r²SCAN, Materials Project).

POSCAR file:
```
IrS2
1.0
-1.381 -2.225 -2.449
-1.909 -3.365 4.135
-17.150 10.210 0.391
S Ir
16 8
Cartesian
-12.079 3.971 1.889
-11.242 0.909 1.575
-15.234 3.086 1.847
-4.283 -2.506 3.380
-6.387 -1.538 1.061
-14.053 6.158 1.015
-8.360 0.648 0.187
-16.156 7.126 -1.304
-12.151 4.665 -1.326
-8.288 -0.045 3.402
-5.206 1.533 0.229
-9.198 3.710 0.501
-16.149 6.318 2.051
-2.564 -4.014 1.156
-17.876 8.633 0.921
-4.291 -1.698 0.025
-2.766 -1.697 1.789
-4.511 0.135 -1.516
-8.425 2.400 -1.368
-17.674 6.316 0.288
-15.929 4.485 3.593
-13.815 3.954 0.259
-6.624 0.666 1.818
-12.015 2.220 3.444
```

Computed properties:
Energy of formation in kJ/mol of atoms: -48.5
Raw total energy in eV/f.u.: -69.9
Crystal system: orthorhombic

=====

Entry 6:
# TbSbIr

Crystalline TbSbIr at its relaxed geometry (r²SCAN, Materials Project).

POSCAR file:
```
TbSbIr
1.0
-0.155 -0.609 -4.479
0.685 -7.095 0.940
-7.812 -0.706 0.367
Tb Ir Sb
4 4 4
Cartesian
-2.420 -0.457 -0.996
-4.862 -7.953 -2.176
-6.078 -4.485 -2.605
-1.204 -3.925 -0.567
-4.428 -2.649 -0.628
-6.623 -6.426 -0.039
-2.854 -5.762 -2.543
-0.659 -1.984 -3.133
-3.116 -3.027 -2.906
-4.166 -5.383 -0.266
-7.043 -2.065 -0.617
-0.239 -6.345 -2.555
```

Computed properties:
Energy of formation in kJ/mol of atoms: -100.1
Raw total energy in eV/f.u.: -112.4
Crystal system: orthorhombic

=====

Entry 7:
# YbSbIr

Crystalline YbSbIr at its relaxed geometry (r²SCAN, Materials Project).

POSCAR file:
```
YbSbIr
1.0
-3.580 1.905 -1.906
0.671 -4.288 -5.549
-4.630 -5.223 3.476
Ir Sb Yb
4 4 4
Cartesian
-3.414 -3.824 -0.042
-4.597 -7.681 -1.677
-4.124 -3.782 -3.935
-2.942 0.075 -2.301
-4.370 -2.093 -1.784
-2.548 -2.559 -5.674
-3.169 -5.513 -2.194
-4.991 -5.047 1.697
-2.310 -1.176 0.529
-6.094 -4.883 -1.336
-1.445 -2.723 -2.642
-5.229 -6.430 -4.507
```

Computed properties:
Energy of formation in kJ/mol of atoms: -96.9
Raw total energy in eV/f.u.: -117.6
Crystal system: orthorhombic

=====

Entry 8:
# Sc2Ir

Crystalline Sc2Ir at its relaxed geometry (r²SCAN, Materials Project).

POSCAR file:
```
Sc2Ir
1.0
0.000 6.146 6.146
6.146 0.000 6.146
6.146 6.146 0.000
Sc Ir
16 8
Cartesian
3.073 0.757 3.073
6.146 2.316 6.146
3.073 3.073 0.757
0.757 3.073 3.073
9.975 6.146 6.146
6.146 6.146 2.316
6.146 9.975 6.146
6.146 6.146 9.975
3.073 3.073 5.389
7.682 4.609 4.609
4.609 7.682 4.609
7.682 7.682 7.682
5.389 3.073 3.073
3.073 5.389 3.073
4.609 4.609 7.682
2.316 6.146 6.146
7.261 5.030 7.261
5.030 7.261 7.261
5.030 5.030 5.030
10.334 10.334 10.334
10.334 8.103 8.103
8.103 8.103 10.334
7.261 7.261 5.030
8.103 10.334 8.103
```

Computed properties:
Energy of formation in kJ/mol of atoms: -78.5
Raw total energy in eV/f.u.: -77.6
Crystal system: cubic